# 1
Computed, not measured: a relaxed ErCrO4 crystal at the r²SCAN level of DFT. Values from VASP.

```
&SYSTEM
  ibrav = 0, nat = 12, ntyp = 3
/
ATOMIC_SPECIES
O 16.00 O.upf
Er 167.26 Er.upf
Cr 52.00 Cr.upf
CELL_PARAMETERS angstrom
5.630 0.013 -1.637
-3.168 4.653 -1.637
-0.007 -0.013 5.863
ATOMIC_POSITIONS angstrom
O 0.251 1.226 2.535
Er -2.070 4.070 -0.172
O 2.949 0.906 1.163
O 0.842 0.952 -0.355
Cr 0.125 2.903 2.760
O -0.464 3.701 1.383
Cr 2.329 1.750 -0.172
O 3.375 1.714 -1.506
O 1.580 3.747 2.985
Er 4.524 0.583 2.760
O 2.147 3.427 0.011
O -0.865 2.939 4.136
```

The value obtained for the total energy is -15.005 eV per atom. Its crystal system is tetragonal. The calculation puts the volume at 77 Å³/f.u.

***

# 2
Computed, not measured: a relaxed Er3CrS6 crystal at the r²SCAN level of DFT. Values from VASP.

```
&SYSTEM
  ibrav = 0, nat = 40, ntyp = 3
/
ATOMIC_SPECIES
Er 167.26 Er.upf
S 32.06 S.upf
Cr 52.00 Cr.upf
CELL_PARAMETERS angstrom
-3.624 -0.753 -0.450
2.825 -7.239 -10.650
1.536 -12.864 9.151
ATOMIC_POSITIONS angstrom
Er 2.750 -10.624 -4.383
Er 0.013 -12.666 5.636
S 3.426 -14.226 -3.802
Cr 0.369 -10.428 -0.974
S 3.069 -16.114 2.238
S 2.916 -9.726 -7.223
S 0.913 -12.001 -2.725
S 0.854 -4.065 -0.078
S 0.935 -5.877 2.303
S 3.507 -16.038 -1.421
S 1.445 -10.377 5.724
Er 1.611 -9.479 2.884
S -1.602 -1.791 0.454
S -0.690 -8.392 4.152
S 2.018 -13.920 7.033
Er 2.472 -13.283 2.312
S -0.175 -8.855 0.776
Cr 0.768 -6.432 4.576
S 1.292 -3.989 -3.737
Er 1.674 -17.349 0.090
S 2.088 -8.937 -1.870
S 2.343 -6.183 -8.533
S -0.315 -6.422 -2.166
Er 0.724 -8.190 -7.585
Er 2.922 -13.266 -1.345
S 2.340 -19.064 -2.403
Er -0.937 -3.507 -2.039
S 0.161 -11.771 2.951
S 0.577 -9.084 -4.900
Er -1.248 -4.307 1.809
Er 1.439 -6.837 -0.155
Er 1.985 -16.548 -3.758
S 1.053 -14.434 0.217
S 0.106 -6.272 -5.809
Er 1.889 -6.820 -3.812
S 1.428 -12.464 -6.101
S 0.632 -14.583 3.860
S 2.273 -11.166 0.371
Cr 0.000 0.000 0.000
Cr -0.399 -3.996 -5.550
```

The value obtained for the total energy is -18.531 eV per atom. Its crystal system is orthorhombic. The calculation puts the volume at 195 Å³/f.u.

***

# 3
Computed, not measured: a relaxed EuCrO4 crystal at the r²SCAN level of DFT. Values from VASP.

```
&SYSTEM
  ibrav = 0, nat = 12, ntyp = 3
/
ATOMIC_SPECIES
O 16.00 O.upf
Cr 52.00 Cr.upf
Eu 151.96 Eu.upf
CELL_PARAMETERS angstrom
-3.677 3.677 3.196
3.677 -3.677 3.196
3.677 3.677 -3.196
ATOMIC_POSITIONS angstrom
O 3.677 2.363 1.028
Cr 0.000 0.000 3.196
Cr 0.000 3.677 1.598
O 0.000 2.363 0.569
O 2.363 3.677 -1.028
O 0.000 1.315 4.224
Eu 3.677 0.000 1.598
O 1.315 0.000 2.167
O 0.000 4.992 0.569
Eu 0.000 0.000 0.000
O 1.315 3.677 2.626
O -1.315 3.677 2.626
```

The value obtained for the total energy is -15.516 eV per atom. Its crystal system is tetragonal. The calculation puts the volume at 86 Å³/f.u.

***

# 4
Computed, not measured: a relaxed EuCrTeO6 crystal at the r²SCAN level of DFT. Values from VASP.

```
&SYSTEM
  ibrav = 0, nat = 18, ntyp = 4
/
ATOMIC_SPECIES
O 16.00 O.upf
Eu 151.96 Eu.upf
Te 127.60 Te.upf
Cr 52.00 Cr.upf
CELL_PARAMETERS angstrom
-2.557 -4.438 -0.012
-2.564 4.442 0.005
-0.014 -0.020 -10.187
ATOMIC_POSITIONS angstrom
O -4.147 -1.641 -1.484
O -3.242 0.014 -8.718
O -3.215 -0.033 -3.624
O -0.987 1.625 -8.710
O -3.511 2.770 -8.719
Eu 0.000 0.000 0.000
Eu -0.007 -0.010 -5.094
O -1.919 0.017 -6.570
O -1.624 -2.786 -1.475
O -3.487 -2.789 -3.631
O -0.964 -1.649 -3.628
O -1.648 2.773 -6.563
Te -2.556 -1.488 -2.553
Cr -2.557 1.469 -2.546
O -1.893 -0.030 -1.476
O -4.170 1.633 -6.566
Te -2.578 1.472 -7.641
Cr -2.578 -1.485 -7.648
```

The value obtained for the total energy is -14.941 eV per atom. Its crystal system is triclinic. The calculation puts the volume at 116 Å³/f.u.

***

# 5
Computed, not measured: a relaxed CrF6 crystal at the r²SCAN level of DFT. Values from VASP.

```
&SYSTEM
  ibrav = 0, nat = 7, ntyp = 2
/
ATOMIC_SPECIES
F 19.00 F.upf
Cr 52.00 Cr.upf
CELL_PARAMETERS angstrom
4.310 0.068 2.864
1.570 4.015 2.864
0.097 0.068 5.174
ATOMIC_POSITIONS angstrom
F 4.366 0.992 6.529
F 1.793 0.406 5.321
F 4.185 3.744 5.581
F 3.945 1.538 3.710
Cr 0.000 0.000 0.000
F 1.612 3.158 4.373
F 2.034 2.612 7.192
```

The value obtained for the total energy is -6.903 eV per atom. Its crystal system is trigonal. The calculation puts the volume at 87 Å³/f.u.

***

# 6
Computed, not measured: a relaxed CrF2 crystal at the r²SCAN level of DFT. Values from VASP.

```
&SYSTEM
  ibrav = 0, nat = 6, ntyp = 2
/
ATOMIC_SPECIES
Cr 52.00 Cr.upf
F 19.00 F.upf
CELL_PARAMETERS angstrom
-0.355 0.347 3.522
4.515 -1.029 0.557
1.142 4.496 -0.950
ATOMIC_POSITIONS angstrom
Cr 0.000 0.000 0.000
F 3.622 2.770 3.077
F 1.680 1.044 0.051
Cr 2.651 1.907 1.564
F 3.685 0.244 1.847
F 1.617 3.570 1.281
```

The value obtained for the total energy is -9.778 eV per atom. Its crystal system is monoclinic. The calculation puts the volume at 39 Å³/f.u.

***

# 7
Computed, not measured: a relaxed CrHgF6 crystal at the r²SCAN level of DFT. Values from VASP.

```
&SYSTEM
  ibrav = 0, nat = 8, ntyp = 3
/
ATOMIC_SPECIES
Cr 52.00 Cr.upf
Hg 200.59 Hg.upf
F 19.00 F.upf
CELL_PARAMETERS angstrom
4.969 -2.555 0.021
4.966 2.548 0.021
3.644 -0.003 4.229
ATOMIC_POSITIONS angstrom
Cr 0.000 0.000 0.000
Hg 6.790 -0.005 2.135
F 8.004 -1.907 2.655
F 5.029 -0.839 3.369
F 6.014 -1.067 0.238
F 8.551 0.830 0.902
F 7.566 1.058 4.033
F 5.576 1.898 1.616
```

The value obtained for the total energy is -12.663 eV per atom. Its crystal system is triclinic. The calculation puts the volume at 107 Å³/f.u.

***

# 8
Computed, not measured: a relaxed KCrF3 crystal at the r²SCAN level of DFT. Values from VASP.

```
&SYSTEM
  ibrav = 0, nat = 10, ntyp = 3
/
ATOMIC_SPECIES
F 19.00 F.upf
Cr 52.00 Cr.upf
K 39.10 K.upf
CELL_PARAMETERS angstrom
-2.911 2.911 4.246
2.911 -2.911 4.246
2.911 2.911 -4.246
ATOMIC_POSITIONS angstrom
F 1.458 -1.364 4.246
Cr 0.000 0.000 0.000
K 2.911 0.000 2.123
F 0.000 0.000 1.967
F 1.364 1.458 4.246
Cr 0.000 0.000 4.246
F 0.000 0.000 6.524
K 0.000 2.911 2.123
F 1.453 4.275 0.000
F 1.547 1.453 0.000
```

The value obtained for the total energy is -8.945 eV per atom. Its crystal system is tetragonal. The calculation puts the volume at 72 Å³/f.u.

***

# 9
Computed, not measured: a relaxed KCrF3 crystal at the r²SCAN level of DFT. Values from VASP.

```
&SYSTEM
  ibrav = 0, nat = 10, ntyp = 3
/
ATOMIC_SPECIES
F 19.00 F.upf
Cr 52.00 Cr.upf
K 39.10 K.upf
CELL_PARAMETERS angstrom
-3.376 1.260 4.823
3.829 -3.181 3.387
2.374 2.313 4.755
ATOMIC_POSITIONS angstrom
F 1.145 0.389 4.537
Cr 1.413 0.196 6.483
K 2.046 -2.082 3.742
K -1.593 0.161 4.468
F -0.530 1.393 6.870
Cr 1.187 1.156 2.378
F 2.466 1.907 6.471
F 1.682 0.002 8.428
F 0.360 -1.516 6.494
F 3.356 -1.002 6.095
```

The value obtained for the total energy is -8.949 eV per atom. Its crystal system is monoclinic. The calculation puts the volume at 72 Å³/f.u.

***

# 10
Computed, not measured: a relaxed KCrF3 crystal at the r²SCAN level of DFT. Values from VASP.

```
&SYSTEM
  ibrav = 0, nat = 10, ntyp = 3
/
ATOMIC_SPECIES
F 19.00 F.upf
Cr 52.00 Cr.upf
K 39.10 K.upf
CELL_PARAMETERS angstrom
-0.588 -2.090 5.429
4.432 3.507 1.498
-4.677 2.390 -2.569
ATOMIC_POSITIONS angstrom
F 3.082 2.215 2.512
F 0.458 2.162 3.979
F -1.291 1.646 0.379
F -1.672 0.505 3.162
Cr -2.632 0.150 1.430
K 0.961 0.354 1.732
K 2.883 1.063 5.195
F -3.915 1.593 1.846
Cr -0.122 2.949 -0.536
F 0.838 3.303 1.196
```

The value obtained for the total energy is -8.947 eV per atom. Its crystal system is tetragonal. The calculation puts the volume at 72 Å³/f.u.

***

# 11
Computed, not measured: a relaxed KCrF3 crystal at the r²SCAN level of DFT. Values from VASP.

```
&SYSTEM
  ibrav = 0, nat = 10, ntyp = 3
/
ATOMIC_SPECIES
F 19.00 F.upf
Cr 52.00 Cr.upf
K 39.10 K.upf
CELL_PARAMETERS angstrom
3.912 -4.306 0.580
3.227 3.721 3.152
-5.518 -0.987 1.662
ATOMIC_POSITIONS angstrom
F -0.918 -0.744 1.639
F 2.538 -0.829 3.755
Cr -0.803 -2.647 1.121
K 1.785 -0.146 0.933
F 0.639 1.220 3.340
K 5.354 -0.439 2.799
Cr -1.146 1.367 2.407
F 0.982 -2.793 2.054
F -2.047 0.676 4.023
F 3.668 -2.249 1.370
```

The value obtained for the total energy is -8.947 eV per atom. Its crystal system is orthorhombic. The calculation puts the volume at 72 Å³/f.u.

***

# 12
Computed, not measured: a relaxed KCrF6 crystal at the r²SCAN level of DFT. Values from VASP.

```
&SYSTEM
  ibrav = 0, nat = 8, ntyp = 3
/
ATOMIC_SPECIES
F 19.00 F.upf
Cr 52.00 Cr.upf
K 39.10 K.upf
CELL_PARAMETERS angstrom
-1.768 2.276 3.881
-2.760 -3.962 0.223
3.980 -1.831 2.044
ATOMIC_POSITIONS angstrom
F -0.887 -0.122 2.770
F -0.945 -2.294 1.522
Cr -0.274 -1.759 3.074
F 1.247 -1.335 2.266
K 0.000 0.000 0.000
F -1.795 -2.182 3.882
F 0.338 -3.395 3.378
F 0.397 -1.223 4.626
```

The value obtained for the total energy is -7.628 eV per atom. Its crystal system is trigonal. The calculation puts the volume at 109 Å³/f.u.

***

# 13
Computed, not measured: a relaxed Li3CrF6 crystal at the r²SCAN level of DFT. Values from VASP.

```
&SYSTEM
  ibrav = 0, nat = 60, ntyp = 3
/
ATOMIC_SPECIES
F 19.00 F.upf
Cr 52.00 Cr.upf
Li 6.94 Li.upf
CELL_PARAMETERS angstrom
-4.026 -7.181 0.785
4.503 -6.925 0.403
0.447 -0.133 9.880
ATOMIC_POSITIONS angstrom
F 2.014 -8.385 8.625
Cr 0.273 -4.805 3.285
Li 2.452 -9.498 10.125
Li -0.423 -11.418 10.223
Cr 0.652 -9.434 7.783
Li 1.795 -11.278 5.174
Li 1.759 -7.357 5.186
F -1.089 -5.854 2.443
F 1.792 -10.317 1.948
F 0.353 -1.162 8.286
F 3.176 -8.077 1.179
F 0.392 -8.206 1.320
F 0.597 -3.621 6.750
F 3.457 -6.062 9.604
F -0.723 -8.559 8.754
F 0.328 -10.618 4.318
F -0.765 -10.467 7.013
Li -2.352 -9.256 8.104
F 3.268 -5.923 4.692
Li -0.620 -7.502 10.243
Li -0.834 -6.882 5.882
Cr 0.000 0.000 0.000
Cr 0.534 -4.870 8.224
F -2.532 -8.177 1.464
Li -1.528 -4.741 0.943
F 0.572 -13.078 2.782
Li -2.331 -7.167 3.184
Li 2.111 -4.705 5.730
F -0.868 -3.922 9.120
F -2.438 -6.166 4.918
Li 3.394 -9.010 2.896
Li -2.470 -5.230 8.172
F 0.532 -6.033 9.748
Li 3.276 -4.984 2.965
F 3.362 -8.073 6.150
F 1.973 -10.496 6.862
Li 3.256 -7.072 7.884
F 0.480 -5.962 4.801
F -0.867 -5.829 7.377
Li -0.871 -2.962 5.895
F 1.791 -8.410 3.692
F 0.920 -10.673 9.241
F 0.688 -13.147 7.727
F -2.344 -8.316 6.377
F 0.444 -8.278 6.268
Li -1.186 -9.534 5.339
Cr 0.223 -0.066 4.940
F -0.952 -8.401 3.808
F 0.004 -3.566 1.827
F 0.236 -1.092 3.341
F 1.690 -3.772 4.056
F -0.942 -10.511 2.043
F 1.867 -3.728 9.025
Li 1.347 -2.822 0.846
Li 1.545 -6.737 0.825
Cr 0.390 -9.369 2.845
F 1.876 -5.838 7.260
F 1.648 -5.680 2.314
F -2.251 -6.163 9.889
F -1.049 -3.743 4.206
```

The value obtained for the total energy is -7.267 eV per atom. Its crystal system is monoclinic. The calculation puts the volume at 99 Å³/f.u.

***

# 14
Computed, not measured: a relaxed Li2CrF6 crystal at the r²SCAN level of DFT. Values from VASP.

```
&SYSTEM
  ibrav = 0, nat = 18, ntyp = 3
/
ATOMIC_SPECIES
F 19.00 F.upf
Cr 52.00 Cr.upf
Li 6.94 Li.upf
CELL_PARAMETERS angstrom
4.540 0.000 0.000
0.000 4.534 0.013
0.000 0.048 8.770
ATOMIC_POSITIONS angstrom
F 3.657 3.691 7.418
Cr 2.270 2.291 4.392
Cr 0.000 0.000 0.000
F 1.289 3.252 0.015
F 3.147 1.413 5.732
F 0.981 1.009 4.394
Li 2.272 2.333 7.327
F 3.252 1.330 8.769
F 3.153 1.400 3.027
F 1.387 3.182 5.757
F 3.664 3.656 1.353
F 3.559 3.573 4.390
Li 2.269 2.249 1.456
Li 0.001 4.541 5.848
F 0.883 0.891 1.365
F 1.394 3.169 3.052
F 0.876 0.926 7.430
Li 4.539 0.042 2.936
```

The value obtained for the total energy is -7.266 eV per atom. Its crystal system is monoclinic. The calculation puts the volume at 90 Å³/f.u.

***

# 15
Computed, not measured: a relaxed CrNiF6 crystal at the r²SCAN level of DFT. Values from VASP.

```
&SYSTEM
  ibrav = 0, nat = 8, ntyp = 3
/
ATOMIC_SPECIES
F 19.00 F.upf
Ni 58.69 Ni.upf
Cr 52.00 Cr.upf
CELL_PARAMETERS angstrom
4.595 -2.439 0.026
4.595 2.439 0.025
3.278 0.000 4.040
ATOMIC_POSITIONS angstrom
F 6.852 -0.852 3.561
Ni 0.000 0.000 0.000
F 7.205 1.507 2.484
Cr 6.234 0.000 2.045
F 4.803 0.654 3.009
F 7.666 -0.654 1.081
F 5.263 -1.507 1.606
F 5.616 0.852 0.529
```

The value obtained for the total energy is -8.245 eV per atom. Its crystal system is trigonal. The calculation puts the volume at 90 Å³/f.u.

***

# 16
Computed, not measured: a relaxed Cr4OF11 crystal at the r²SCAN level of DFT. Values from VASP.

```
&SYSTEM
  ibrav = 0, nat = 32, ntyp = 3
/
ATOMIC_SPECIES
F 19.00 F.upf
Cr 52.00 Cr.upf
O 16.00 O.upf
CELL_PARAMETERS angstrom
-4.909 -0.001 0.001
-2.455 -4.596 -0.056
2.452 -0.544 16.081
ATOMIC_POSITIONS angstrom
F -3.111 -2.367 11.022
F -5.817 -3.611 0.437
F -3.349 -0.632 5.569
Cr -0.024 -2.458 7.932
F -3.349 -3.218 13.586
F -4.014 -4.847 11.528
Cr -2.456 -3.856 12.019
Cr -2.455 -1.286 4.007
F -4.004 -3.215 6.451
Cr -4.886 -0.113 0.081
F -0.638 -3.726 15.071
F -1.561 -1.939 2.444
F 0.654 -0.748 13.072
F -1.829 -2.781 5.003
F -1.564 -4.493 10.453
F -3.361 -3.951 1.507
F -0.891 -0.289 4.494
F -4.275 -3.985 8.968
F -4.019 -2.282 3.519
O -0.667 -1.085 7.013
Cr -2.477 -4.307 6.038
F -0.899 -2.864 12.511
Cr -2.454 -0.878 10.018
O -4.243 -1.486 1.000
Cr -0.004 -2.237 14.076
Cr -4.888 -2.859 1.919
F -1.549 -3.556 7.520
F -0.897 -1.892 9.534
F -5.536 -4.386 2.955
F -1.561 -1.223 14.560
F 0.894 -1.575 15.638
F -3.352 -1.541 8.457
```

The value obtained for the total energy is -9.208 eV per atom. Its crystal system is triclinic. The calculation puts the volume at 181 Å³/f.u.

***

# 17
Computed, not measured: a relaxed CrOF crystal at the r²SCAN level of DFT. Values from VASP.

```
&SYSTEM
  ibrav = 0, nat = 6, ntyp = 3
/
ATOMIC_SPECIES
F 19.00 F.upf
O 16.00 O.upf
Cr 52.00 Cr.upf
CELL_PARAMETERS angstrom
-3.294 0.388 2.022
-0.618 -2.898 -0.449
2.773 -1.331 4.773
ATOMIC_POSITIONS angstrom
F -0.261 -2.568 1.933
O 1.265 -3.301 4.560
Cr -0.581 -3.012 5.230
F -0.877 -1.272 4.413
O -2.403 -0.540 1.786
Cr -0.558 -0.829 1.116
```

The value obtained for the total energy is -10.726 eV per atom. Its crystal system is orthorhombic. The calculation puts the volume at 33 Å³/f.u.

***

# 18
Computed, not measured: a relaxed Rb2CrF6 crystal at the r²SCAN level of DFT. Values from VASP.

```
&SYSTEM
  ibrav = 0, nat = 9, ntyp = 3
/
ATOMIC_SPECIES
F 19.00 F.upf
Rb 85.47 Rb.upf
Cr 52.00 Cr.upf
CELL_PARAMETERS angstrom
5.097 -0.004 2.946
1.608 4.931 3.098
-0.088 0.124 6.044
ATOMIC_POSITIONS angstrom
F 4.335 1.074 4.266
F 5.222 3.880 6.044
F 2.349 3.883 4.382
Rb 1.654 1.263 3.022
Cr 0.000 0.000 0.000
F 4.268 1.169 7.706
F 2.282 3.978 7.822
F 1.394 1.173 6.044
Rb 4.963 3.789 9.066
```

The value obtained for the total energy is -9.838 eV per atom. Its crystal system is orthorhombic. The calculation puts the volume at 152 Å³/f.u.